Entry from the Materials Project: Ca2MgAs2H4O10 after structural relaxation (r²SCAN).

Lattice parameters (Å, degrees): 5.799 12.909 5.632 90.00 107.69 90.00
Positions (direct):
Ca 0.065 0.121 0.234
Ca 0.065 0.379 0.734
Ca 0.935 0.621 0.266
Ca 0.935 0.879 0.766
Mg 0.500 0.000 0.000
Mg 0.500 0.500 0.500
As 0.282 0.621 0.931
As 0.282 0.879 0.431
As 0.718 0.121 0.569
As 0.718 0.379 0.069
H 0.200 0.149 0.798
H 0.200 0.351 0.298
H 0.400 0.207 0.000
H 0.400 0.293 0.500
H 0.600 0.707 0.500
H 0.600 0.793 0.000
H 0.800 0.649 0.702
H 0.800 0.851 0.202
O 0.052 0.705 0.921
O 0.052 0.795 0.421
O 0.221 0.554 0.657
O 0.221 0.946 0.157
O 0.263 0.536 0.156
O 0.263 0.964 0.656
O 0.317 0.138 0.964
O 0.317 0.362 0.464
O 0.445 0.177 0.496
O 0.445 0.323 0.996
O 0.555 0.677 0.004
O 0.555 0.823 0.504
O 0.683 0.638 0.536
O 0.683 0.862 0.036
O 0.737 0.036 0.344
O 0.737 0.464 0.844
O 0.779 0.054 0.843
O 0.779 0.446 0.343
O 0.948 0.205 0.579
O 0.948 0.295 0.079

Calculated values
energy relative to the elements: -2020 meV per atom
crystal system: monoclinic